Compound: Tb2Ni17
Source: the Materials Project database
Functional: PBE
Structure: relaxed

```
Tb2Ni17
1.0
7.087 3.745 -2.051
-7.146 2.595 -3.264
-0.933 5.103 6.099
Tb Ni
4 34
Cartesian
-0.233 1.276 1.525
2.109 4.638 -0.930
-0.699 3.828 4.574
-3.101 6.806 1.714
-1.679 4.137 1.754
-1.709 7.326 -0.920
-2.614 6.115 -2.888
1.781 6.435 1.217
1.622 5.329 3.672
0.717 4.118 1.703
1.145 1.776 -1.095
-4.747 4.987 -2.271
3.543 1.873 -1.025
-5.701 7.784 2.910
-0.561 3.467 -0.359
3.755 6.457 3.055
-2.773 5.009 -0.433
4.281 6.001 0.672
3.077 4.424 2.024
-4.039 3.849 1.417
-2.497 3.499 -2.237
1.587 9.044 0.559
3.738 8.263 1.541
-3.573 1.297 -1.632
0.687 7.307 -0.970
4.709 3.660 -2.126
-0.413 6.068 2.743
1.115 4.965 -3.768
-5.273 5.442 0.112
-0.496 5.722 0.392
-2.107 6.479 4.552
-0.431 7.977 1.143
1.505 7.944 3.021
-0.579 5.376 -1.959
-2.579 2.400 0.225
-2.137 9.668 1.879
-4.730 3.181 -0.758
-0.030 3.170 -2.657
```

Summary:
The total energy comes out at -222.6 eV for the cell shown. The density is 9.21 g cm⁻³. Its symmetry is No. 194.